Computed, not measured: an optimized crystal structure of Pr2Mo3O12 at the PBE+U level of DFT.

Cell: 10.4514 10.4514 16.1956 Å, 105.03 105.03 70.01°
Closest atoms and distances in Å follow each position.
Element x y z (fractional)
Pr (0.1177, 0.8689, 0.9112)  8 O 2.44-2.58
Pr (0.1311, 0.8823, 0.5888)  8 O 2.44-2.58
Pr (0.2061, 0.4622, 0.1973)  8 O 2.44-2.57
Pr (0.2129, 0.4560, 0.5228)  8 O 2.42-2.59
Pr (0.4560, 0.2129, 0.0228)  8 O 2.42-2.59
Pr (0.4622, 0.2061, 0.6973)  8 O 2.44-2.57
Pr (0.5378, 0.7939, 0.3027)  8 O 2.44-2.57
Pr (0.5440, 0.7871, 0.9772)  8 O 2.42-2.59
Pr (0.7871, 0.5440, 0.4772)  8 O 2.42-2.59
Pr (0.7939, 0.5378, 0.8027)  8 O 2.44-2.57
Pr (0.8689, 0.1177, 0.4112)  8 O 2.44-2.58
Pr (0.8823, 0.1311, 0.0888)  8 O 2.44-2.58
Mo (0.0350, 0.2990, 0.3096)  4 O 1.79-1.86
Mo (0.0471, 0.2768, 0.9658)  4 O 1.78-1.85
Mo (0.0466, 0.2953, 0.6368)  4 O 1.77-1.84
Mo (0.2768, 0.0471, 0.4658)  4 O 1.78-1.85
Mo (0.2953, 0.0466, 0.1368)  4 O 1.77-1.84
Mo (0.2990, 0.0350, 0.8096)  4 O 1.79-1.86
Mo (0.3652, 0.6210, 0.0791)  4 O 1.78-1.86
Mo (0.3735, 0.6265, 0.7500)  4 O 1.77-1.85
Mo (0.3790, 0.6348, 0.4209)  4 O 1.78-1.86
Mo (0.6210, 0.3652, 0.5791)  4 O 1.78-1.86
Mo (0.6265, 0.3735, 0.2500)  4 O 1.77-1.85
Mo (0.6348, 0.3790, 0.9209)  4 O 1.78-1.86
Mo (0.7010, 0.9650, 0.1904)  4 O 1.79-1.86
Mo (0.7047, 0.9534, 0.8632)  4 O 1.77-1.84
Mo (0.7232, 0.9529, 0.5342)  4 O 1.78-1.85
Mo (0.9534, 0.7047, 0.3631)  4 O 1.77-1.84
Mo (0.9529, 0.7232, 0.0342)  4 O 1.78-1.85
Mo (0.9650, 0.7010, 0.6904)  4 O 1.79-1.86
O (0.0007, 0.4352, 0.4077)  1 Mo 1.86
O (0.0119, 0.5757, 0.2744)  1 Mo 1.77
O (0.0313, 0.1155, 0.9843)  1 Mo 1.85
O (0.0322, 0.1402, 0.3312)  1 Mo 1.79
O (0.0346, 0.3948, 0.0666)  1 Mo 1.78
O (0.0689, 0.1292, 0.6570)  1 Mo 1.78
O (0.0790, 0.6837, 0.4652)  1 Mo 1.84
O (0.0836, 0.6550, 0.1206)  1 Mo 1.79
O (0.0971, 0.6765, 0.7857)  1 Mo 1.79
O (0.1155, 0.0313, 0.4843)  1 Mo 1.85
O (0.1292, 0.0689, 0.1570)  1 Mo 1.78
O (0.1402, 0.0322, 0.8312)  1 Mo 1.79
O (0.1891, 0.3012, 0.2820)  1 Mo 1.79
O (0.2106, 0.3070, 0.6235)  1 Mo 1.83
O (0.2170, 0.2537, 0.9479)  1 Mo 1.80
O (0.2283, 0.6806, 0.9930)  1 Mo 1.79
O (0.2479, 0.6544, 0.6473)  1 Mo 1.85
O (0.2537, 0.2170, 0.4479)  1 Mo 1.80
O (0.2583, 0.6508, 0.3214)  1 Mo 1.78
O (0.3012, 0.1891, 0.7820)  1 Mo 1.79
O (0.3070, 0.2106, 0.1235)  1 Mo 1.83
O (0.3163, 0.9210, 0.0348)  1 Mo 1.84
O (0.3194, 0.7717, 0.5070)  1 Mo 1.79
O (0.3235, 0.9029, 0.7143)  1 Mo 1.79
O (0.3450, 0.9164, 0.3794)  1 Mo 1.79
O (0.3456, 0.7521, 0.8527)  1 Mo 1.85
O (0.3492, 0.7417, 0.1786)  1 Mo 1.78
O (0.3605, 0.4546, 0.0972)  1 Mo 1.86
O (0.3743, 0.4796, 0.4468)  1 Mo 1.80
O (0.3871, 0.4610, 0.7661)  1 Mo 1.77
O (0.3948, 0.0346, 0.5666)  1 Mo 1.78
O (0.4243, 0.9881, 0.2256)  1 Mo 1.77
O (0.4352, 0.0007, 0.9077)  1 Mo 1.86
O (0.4546, 0.3605, 0.5972)  1 Mo 1.86
O (0.4610, 0.3871, 0.2661)  1 Mo 1.77
O (0.4796, 0.3743, 0.9468)  1 Mo 1.80
O (0.5204, 0.6257, 0.0532)  1 Mo 1.80
O (0.5390, 0.6129, 0.7339)  1 Mo 1.77
O (0.5454, 0.6395, 0.4028)  1 Mo 1.86
O (0.5648, 0.9993, 0.0923)  1 Mo 1.86
O (0.5757, 0.0119, 0.7744)  1 Mo 1.77
O (0.6052, 0.9654, 0.4334)  1 Mo 1.78
O (0.6129, 0.5390, 0.2339)  1 Mo 1.77
O (0.6257, 0.5204, 0.5532)  1 Mo 1.80
O (0.6395, 0.5454, 0.9028)  1 Mo 1.86
O (0.6508, 0.2583, 0.8214)  1 Mo 1.78
O (0.6544, 0.2479, 0.1473)  1 Mo 1.85
O (0.6550, 0.0836, 0.6206)  1 Mo 1.79
O (0.6765, 0.0971, 0.2857)  1 Mo 1.79
O (0.6806, 0.2283, 0.4930)  1 Mo 1.79
O (0.6837, 0.0790, 0.9652)  1 Mo 1.84
O (0.6930, 0.7894, 0.8765)  1 Mo 1.83
O (0.6988, 0.8109, 0.2180)  1 Mo 1.79
O (0.7417, 0.3492, 0.6786)  1 Mo 1.78
O (0.7463, 0.7830, 0.5521)  1 Mo 1.80
O (0.7521, 0.3456, 0.3527)  1 Mo 1.85
O (0.7717, 0.3194, 0.0070)  1 Mo 1.79
O (0.7830, 0.7463, 0.0521)  1 Mo 1.80
O (0.7894, 0.6930, 0.3765)  1 Mo 1.83
O (0.8109, 0.6988, 0.7180)  1 Mo 1.79
O (0.8598, 0.9678, 0.1688)  1 Mo 1.79
O (0.8708, 0.9311, 0.8430)  1 Mo 1.78
O (0.8845, 0.9687, 0.5157)  1 Mo 1.85
O (0.9029, 0.3235, 0.2143)  1 Mo 1.79
O (0.9164, 0.3450, 0.8794)  1 Mo 1.79
O (0.9210, 0.3163, 0.5348)  1 Mo 1.84
O (0.9311, 0.8708, 0.3430)  1 Mo 1.78
O (0.9654, 0.6052, 0.9334)  1 Mo 1.78
O (0.9678, 0.8598, 0.6688)  1 Mo 1.79
O (0.9687, 0.8845, 0.0157)  1 Mo 1.85
O (0.9881, 0.4243, 0.7256)  1 Mo 1.77
O (0.9993, 0.5648, 0.5923)  1 Mo 1.86

Results
Theoretical density   4.81 Mg/m³
ΔH_f (0 K)   -2611 meV/atom
M_tot   0.1 Bohr magnetons per cell
E_tot   -7.53 eV/atom
Space-group type   C2/c (15)
Energy above the most stable polymorph in this dataset   0.019 eV per atom